# Nb4GaSe8, optimized geometry, DFT PBE-GGA
data_Nb4GaSe8
_space_group_name_H-M_alt 'F -4 3 m'
_space_group_IT_number 216
_space_group_name_Hall 'F -4 2 3'
_cell_length_a 10.555
_cell_length_b 10.555
_cell_length_c 10.555
_cell_angle_alpha 90.00
_cell_angle_beta 90.00
_cell_angle_gamma 90.00
loop_
_atom_site_label
_atom_site_type_symbol
_atom_site_fract_x
_atom_site_fract_y
_atom_site_fract_z
Nb1 Nb 0.103 0.103 0.103
Ga1 Ga 0.000 0.000 0.500
Se1 Se 0.135 0.135 0.365
Se2 Se 0.135 0.135 0.865
# E	-327.41	eV for the cell shown
# formation energy	-1.095	eV per atom

---

# Nb5GaSn2, optimized geometry, DFT PBE-GGA
data_Nb5GaSn2
_space_group_name_H-M_alt 'I 4/m c m'
_space_group_IT_number 140
_space_group_name_Hall '-I 4 2c'
_cell_length_a 10.723
_cell_length_b 10.723
_cell_length_c 5.203
_cell_angle_alpha 90.00
_cell_angle_beta 90.00
_cell_angle_gamma 90.00
loop_
_atom_site_label
_atom_site_type_symbol
_atom_site_fract_x
_atom_site_fract_y
_atom_site_fract_z
Nb1 Nb 0.000 0.500 0.250
Nb2 Nb 0.071 0.218 0.000
Ga1 Ga 0.000 0.000 0.250
Sn1 Sn 0.169 0.331 0.500
# E	-253.92	eV for the cell shown
# formation energy	-0.241	eV per atom

---

# Nb6GaSn, optimized geometry, DFT PBE-GGA
data_Nb6GaSn
_space_group_name_H-M_alt 'P m -3'
_space_group_IT_number 200
_space_group_name_Hall '-P 2 2 3'
_cell_length_a 5.267
_cell_length_b 5.267
_cell_length_c 5.267
_cell_angle_alpha 90.00
_cell_angle_beta 90.00
_cell_angle_gamma 90.00
loop_
_atom_site_label
_atom_site_type_symbol
_atom_site_fract_x
_atom_site_fract_y
_atom_site_fract_z
Nb1 Nb 0.000 0.250 0.500
Ga1 Ga 0.000 0.000 0.000
Sn1 Sn 0.500 0.500 0.500
# E	-68.82	eV for the cell shown
# formation energy	-0.147	eV per atom

---

# Zr4NbGa3, optimized geometry, DFT PBE-GGA
data_Zr4NbGa3
_space_group_name_H-M_alt 'I 4/m c m'
_space_group_IT_number 140
_space_group_name_Hall '-I 4 2c'
_cell_length_a 10.828
_cell_length_b 10.828
_cell_length_c 5.341
_cell_angle_alpha 90.00
_cell_angle_beta 90.00
_cell_angle_gamma 90.00
loop_
_atom_site_label
_atom_site_type_symbol
_atom_site_fract_x
_atom_site_fract_y
_atom_site_fract_z
Zr1 Zr 0.081 0.220 0.000
Nb1 Nb 0.000 0.500 0.250
Ga1 Ga 0.000 0.000 0.250
Ga2 Ga 0.158 0.342 0.500
# E	-229.68	eV for the cell shown
# formation energy	-0.505	eV per atom

---

# NdGa6, optimized geometry, DFT PBE-GGA
data_NdGa6
_space_group_name_H-M_alt 'P 4/n b m'
_space_group_IT_number 125
_cell_length_a 6.083
_cell_length_b 6.083
_cell_length_c 7.665
_cell_angle_alpha 90.00
_cell_angle_beta 90.00
_cell_angle_gamma 90.00
loop_
_space_group_symop_operation_xyz
'x,y,z'
'-x,-y,-z'
'-y+1/2,x,z'
'y+1/2,-x,-z'
'-x+1/2,-y+1/2,z'
'x+1/2,y+1/2,-z'
'y,-x+1/2,z'
'-y,x+1/2,-z'
'x,-y+1/2,-z'
'-x,y+1/2,z'
'-y+1/2,-x+1/2,-z'
'y+1/2,x+1/2,z'
'-x+1/2,y,-z'
'x+1/2,-y,z'
'y,x,-z'
'-y,-x,z'
loop_
_atom_site_label
_atom_site_type_symbol
_atom_site_fract_x
_atom_site_fract_y
_atom_site_fract_z
Nd1 Nd 0.250 0.750 0.000
Ga1 Ga 0.058 0.558 0.350
Ga2 Ga 0.250 0.250 0.162
# E	-50.68	eV for the cell shown
# formation energy	-0.344	eV per atom

---

# NdGa3, optimized geometry, DFT PBE-GGA
data_NdGa3
_space_group_name_H-M_alt 'P m -3 m'
_space_group_IT_number 221
_space_group_name_Hall '-P 4 2 3'
_cell_length_a 4.383
_cell_length_b 4.383
_cell_length_c 4.383
_cell_angle_alpha 90.00
_cell_angle_beta 90.00
_cell_angle_gamma 90.00
loop_
_atom_site_label
_atom_site_type_symbol
_atom_site_fract_x
_atom_site_fract_y
_atom_site_fract_z
Nd1 Nd 0.000 0.000 0.000
Ga1 Ga 0.000 0.500 0.500
# offset from the most stable computed form	0.22	eV/f.u.
# E	-15.93	eV for the cell shown
# formation energy	-0.519	eV per atom

---

# Nd3Ga2, optimized geometry, DFT PBE-GGA
data_Nd3Ga2
_space_group_name_H-M_alt 'I 4/m c m'
_space_group_IT_number 140
_space_group_name_Hall '-I 4 2c'
_cell_length_a 12.057
_cell_length_b 12.057
_cell_length_c 15.488
_cell_angle_alpha 90.00
_cell_angle_beta 90.00
_cell_angle_gamma 90.00
loop_
_atom_site_label
_atom_site_type_symbol
_atom_site_fract_x
_atom_site_fract_y
_atom_site_fract_z
Nd1 Nd 0.000 0.500 0.149
Nd2 Nd 0.067 0.202 0.136
Nd3 Nd 0.168 0.332 0.500
Ga1 Ga 0.000 0.000 0.000
Ga2 Ga 0.000 0.000 0.250
Ga3 Ga 0.116 0.384 0.000
Ga4 Ga 0.178 0.322 0.299
# E	-364.04	eV for the cell shown
# formation energy	-0.478	eV per atom

---

# NdGa2, optimized geometry, DFT PBE-GGA
data_NdGa2
_space_group_name_H-M_alt 'P 6/m m m'
_space_group_IT_number 191
_space_group_name_Hall '-P 6 2'
_cell_length_a 4.2845
_cell_length_b 4.2845
_cell_length_c 4.3030
_cell_angle_alpha 90.00
_cell_angle_beta 90.00
_cell_angle_gamma 120.00
loop_
_atom_site_label
_atom_site_type_symbol
_atom_site_fract_x
_atom_site_fract_y
_atom_site_fract_z
Nd1 Nd 0.0000 0.0000 0.0000
Ga1 Ga 0.3333 0.6667 0.5000
# E	-12.90	eV for the cell shown
# formation energy	-0.693	eV per atom

---

# NdGa3, optimized geometry, DFT PBE-GGA
data_NdGa3
_space_group_name_H-M_alt 'P 63/m m c'
_space_group_IT_number 194
_space_group_name_Hall '-P 6c 2c'
_cell_length_a 6.4616
_cell_length_b 6.4616
_cell_length_c 4.6157
_cell_angle_alpha 90.00
_cell_angle_beta 90.00
_cell_angle_gamma 120.00
loop_
_atom_site_label
_atom_site_type_symbol
_atom_site_fract_x
_atom_site_fract_y
_atom_site_fract_z
Nd1 Nd 0.3333 0.6667 0.2500
Ga1 Ga 0.1433 0.2866 0.7500
# offset from the most stable computed form	0.00	eV/f.u.
# E	-32.29	eV for the cell shown
# formation energy	-0.573	eV per atom

---

# Nd4Ga18Ni, optimized geometry, DFT PBE-GGA
data_Nd4Ga18Ni
_space_group_name_H-M_alt 'I 4/m m m'
_space_group_IT_number 139
_space_group_name_Hall '-I 4 2'
_cell_length_a 4.405
_cell_length_b 4.405
_cell_length_c 47.474
_cell_angle_alpha 90.00
_cell_angle_beta 90.00
_cell_angle_gamma 90.00
loop_
_atom_site_label
_atom_site_type_symbol
_atom_site_fract_x
_atom_site_fract_y
_atom_site_fract_z
Nd1 Nd 0.000 0.000 0.079
Nd2 Nd 0.000 0.000 0.306
Ga1 Ga 0.000 0.000 0.169
Ga2 Ga 0.000 0.000 0.221
Ga3 Ga 0.000 0.000 0.390
Ga4 Ga 0.000 0.000 0.442
Ga5 Ga 0.000 0.500 0.027
Ga6 Ga 0.000 0.500 0.139
Ga7 Ga 0.000 0.500 0.250
Ni1 Ni 0.000 0.000 0.000
# E	-177.72	eV for the cell shown
# formation energy	-0.413	eV per atom

---

# Nd2GaNi2, optimized geometry, DFT PBE-GGA
data_Nd2GaNi2
_space_group_name_H-M_alt 'I m m m'
_space_group_IT_number 71
_space_group_name_Hall '-I 2 2'
_cell_length_a 4.255
_cell_length_b 5.566
_cell_length_c 8.507
_cell_angle_alpha 90.00
_cell_angle_beta 90.00
_cell_angle_gamma 90.00
loop_
_atom_site_label
_atom_site_type_symbol
_atom_site_fract_x
_atom_site_fract_y
_atom_site_fract_z
Nd1 Nd 0.000 0.000 0.207
Ga1 Ga 0.000 0.500 0.000
Ni1 Ni 0.000 0.278 0.500
# E	-52.91	eV for the cell shown
# formation energy	-0.466	eV per atom

---

# NdGa2Ni3, optimized geometry, DFT PBE-GGA
data_NdGa2Ni3
_space_group_name_H-M_alt 'P -6 2 m'
_space_group_IT_number 189
_space_group_name_Hall 'P -6 -2'
_cell_length_a 8.8925
_cell_length_b 8.8925
_cell_length_c 4.1496
_cell_angle_alpha 90.00
_cell_angle_beta 90.00
_cell_angle_gamma 120.00
loop_
_atom_site_label
_atom_site_type_symbol
_atom_site_fract_x
_atom_site_fract_y
_atom_site_fract_z
Nd1 Nd 0.0000 0.0000 0.0000
Nd2 Nd 0.3333 0.6667 0.5000
Ga1 Ga 0.0000 0.4841 0.0000
Ga2 Ga 0.0000 0.7266 0.5000
Ni1 Ni 0.0000 0.2923 0.5000
Ni2 Ni 0.1749 0.8052 0.0000
# E	-93.85	eV for the cell shown
# formation energy	-0.520	eV per atom